1.
Below is Sr2TaAlO6 after structural relaxation, with properties calculated at the PBE-GGA level.

a = 5.5600 Å, b = 5.5600 Å, c = 5.5600 Å
α = 60.00°, β = 60.00°, γ = 60.00°
Last column: nearest neighbours and their distance in Å.
Positions (direct):
Sr 0.2500 0.2500 0.2500  12 O 2.78
Sr 0.7500 0.7500 0.7500  12 O 2.78
Ta 0.0000 0.0000 0.0000  6 O 2.00
Al 0.5000 0.5000 0.5000  6 O 1.93
O 0.2543 0.2543 0.7457  1 Al 1.93, 1 Ta 2.00
O 0.2543 0.7457 0.2543  1 Al 1.93, 1 Ta 2.00
O 0.2543 0.7457 0.7457  1 Al 1.93, 1 Ta 2.00
O 0.7457 0.2543 0.2543  1 Al 1.93, 1 Ta 2.00
O 0.7457 0.2543 0.7457  1 Al 1.93, 1 Ta 2.00
O 0.7457 0.7457 0.2543  1 Al 1.93, 1 Ta 2.00

2.
Below is SrTi3Al8O19 after structural relaxation, with properties calculated at the PBE-GGA level.

a = 12.7609 Å, b = 12.7609 Å, c = 9.8603 Å
α = 97.65°, β = 97.65°, γ = 51.95°
Last column: nearest neighbours and their distance in Å.
Positions (direct):
Sr 0.0537 0.0537 0.1871  10 O 2.63-2.92
Sr 0.6808 0.2096 0.3113  10 O 2.65-2.93
Sr 0.7904 0.3192 0.6887  10 O 2.65-2.93
Sr 0.9463 0.9463 0.8129  10 O 2.63-2.92
Ti 0.0556 0.3331 0.1619  6 O 1.88-2.07
Ti 0.0574 0.5676 0.1174  4 O 1.85-2.01
Ti 0.0872 0.1157 0.8801  5 O 1.90-2.03
Ti 0.2987 0.3232 0.6202  4 O 1.86-1.98
Ti 0.4324 0.9426 0.8826  4 O 1.85-2.01
Ti 0.6428 0.1555 0.6133  5 O 1.86-2.06
Ti 0.6669 0.9444 0.8381  6 O 1.88-2.07
Ti 0.6768 0.7013 0.3798  4 O 1.86-1.98
Ti 0.7590 0.2410 0.0000  4 O 1.86-1.94
Ti 0.8445 0.3572 0.3867  5 O 1.86-2.06
Ti 0.8843 0.9128 0.1199  5 O 1.90-2.03
Ti 0.9745 0.0255 0.5000  4 O 1.86-1.95
Al 0.0170 0.5292 0.4345  4 O 1.78-1.83
Al 0.0673 0.3244 0.6599  6 O 1.86-2.01
Al 0.1327 0.6619 0.6370  5 O 1.83-1.95
Al 0.1951 0.1923 0.4099  5 O 1.81-1.95
Al 0.2115 0.0024 0.6151  5 O 1.82-1.96
Al 0.2153 0.7292 0.1651  4 O 1.76-1.82
Al 0.2447 0.7553 0.5000  6 O 1.90-1.92
Al 0.2515 0.5434 0.8834  6 O 1.85-2.02
Al 0.2637 0.2815 0.9296  4 O 1.77-1.83
Al 0.2708 0.7847 0.8349  4 O 1.76-1.82
Al 0.2768 0.5177 0.3837  6 O 1.86-2.01
Al 0.3265 0.0641 0.1594  6 O 1.84-2.05
Al 0.3381 0.8673 0.3630  5 O 1.83-1.95
Al 0.3956 0.3987 0.1370  5 O 1.83-1.95
Al 0.4117 0.1998 0.3436  6 O 1.85-2.02
Al 0.4566 0.7485 0.1166  6 O 1.85-2.02
Al 0.4623 0.4829 0.6652  4 O 1.76-1.82
Al 0.4708 0.9830 0.5655  4 O 1.78-1.83
Al 0.4823 0.7232 0.6163  6 O 1.86-2.01
Al 0.4888 0.5112 0.0000  6 O 1.90-1.92
Al 0.5171 0.5377 0.3348  4 O 1.76-1.82
Al 0.5200 0.2700 0.8828  6 O 1.86-2.06
Al 0.5414 0.0716 0.0981  6 O 1.86-2.06
Al 0.6013 0.6044 0.8630  5 O 1.83-1.95
Al 0.6756 0.9327 0.3401  6 O 1.86-2.01
Al 0.7185 0.7363 0.0704  4 O 1.77-1.83
Al 0.7300 0.4800 0.1172  6 O 1.86-2.06
Al 0.8002 0.5883 0.6564  6 O 1.85-2.02
Al 0.8077 0.8049 0.5901  5 O 1.81-1.95
Al 0.9284 0.4586 0.9019  6 O 1.86-2.06
Al 0.9359 0.6735 0.8406  6 O 1.84-2.05
Al 0.9976 0.7885 0.3849  5 O 1.82-1.96
O 0.0112 0.4998 0.2530  1 Al 1.78, 1 Ti 1.95
O 0.0139 0.2877 0.8053  2 Al 1.89-1.91, 1 Ti 1.99
O 0.0224 0.2780 0.3072  2 Ti 1.88-2.06, 1 Al 1.95
O 0.0471 0.0613 0.6701  1 Al 1.87, 1 Ti 1.95
O 0.0585 0.8497 0.0860  1 Al 1.76, 1 Ti 1.90
O 0.0743 0.8214 0.5539  3 Al 1.91-1.95
O 0.0931 0.6000 0.9480  2 Al 1.84-1.85, 1 Ti 1.95
O 0.0960 0.6109 0.4538  4 Al 1.83-2.01
O 0.1076 0.3870 0.0102  1 Al 1.80
O 0.1187 0.3728 0.5134  2 Al 1.80-1.97
O 0.1439 0.1515 0.0579  2 Ti 1.91-2.04, 1 Al 2.04
O 0.1497 0.1619 0.5576  3 Al 1.81-1.86
O 0.1503 0.9415 0.9140  1 Al 1.76, 1 Ti 1.90
O 0.1786 0.9257 0.4461  3 Al 1.91-1.95
O 0.1943 0.7011 0.3317  3 Al 1.81-2.00
O 0.1944 0.7026 0.8054  3 Al 1.80-1.92
O 0.2205 0.4934 0.7025  1 Ti 1.86, 2 Al 1.87-1.89
O 0.2268 0.4868 0.2024  1 Ti 1.85, 2 Al 1.87-1.89
O 0.2309 0.2784 0.7495  2 Al 1.77-1.90, 1 Ti 1.95
O 0.2448 0.2338 0.2581  3 Al 1.91-1.98, 1 Ti 2.07
O 0.2621 0.0292 0.7959  2 Ti 1.86-2.03, 1 Al 1.87
O 0.2681 0.0299 0.3027  3 Al 1.83-1.89
O 0.2974 0.8056 0.1946  3 Al 1.80-1.92
O 0.2989 0.8057 0.6683  3 Al 1.81-2.00
O 0.3104 0.5849 0.5571  3 Al 1.82-1.93
O 0.3186 0.5767 0.0573  3 Al 1.82-1.93
O 0.3332 0.3592 0.4485  2 Al 1.85-1.86, 1 Ti 1.98
O 0.3452 0.3616 0.9527  4 Al 1.83-2.02
O 0.3658 0.1429 0.4936  2 Al 1.80-1.95
O 0.3698 0.1228 0.0061  2 Al 1.81-1.98
O 0.3891 0.9040 0.5462  4 Al 1.83-2.01
O 0.4000 0.9069 0.0520  2 Al 1.84-1.85, 1 Ti 1.95
O 0.4151 0.6896 0.4429  3 Al 1.82-1.93
O 0.4233 0.6814 0.9427  3 Al 1.82-1.93
O 0.4356 0.4597 0.8312  3 Al 1.81-2.00
O 0.4366 0.4603 0.3053  3 Al 1.79-1.93
O 0.4657 0.2369 0.1982  3 Al 1.83-1.90
O 0.4726 0.2357 0.7041  1 Al 1.87, 2 Ti 1.89-2.03
O 0.4922 0.0307 0.2447  4 Al 1.90-2.01
O 0.5002 0.9888 0.7470  1 Al 1.78, 1 Ti 1.95
O 0.5066 0.7795 0.2975  1 Ti 1.86, 2 Al 1.87-1.89
O 0.5132 0.7732 0.7976  1 Ti 1.85, 2 Al 1.87-1.89
O 0.5397 0.5634 0.6947  3 Al 1.79-1.93
O 0.5403 0.5644 0.1688  3 Al 1.81-2.00
O 0.5549 0.3410 0.0537  3 Al 1.91-1.95
O 0.5834 0.1068 0.9451  2 Al 1.86-1.87, 1 Ti 1.88
O 0.5827 0.3262 0.5847  1 Al 1.76, 1 Ti 1.86
O 0.5929 0.1116 0.4411  1 Ti 1.87, 2 Al 2.01
O 0.6130 0.8924 0.9898  1 Al 1.80
O 0.6272 0.8813 0.4866  2 Al 1.80-1.97
O 0.6384 0.6548 0.0473  4 Al 1.83-2.02
O 0.6408 0.6668 0.5515  2 Al 1.85-1.86, 1 Ti 1.98
O 0.6590 0.4451 0.9463  3 Al 1.91-1.95
O 0.6738 0.4173 0.4153  1 Al 1.76, 1 Ti 1.86
O 0.6865 0.2045 0.8305  1 Al 1.86, 1 Ti 1.94
O 0.7123 0.9861 0.1947  2 Al 1.89-1.91, 1 Ti 1.99
O 0.7216 0.7691 0.2505  2 Al 1.77-1.90, 1 Ti 1.95
O 0.7220 0.9776 0.6928  2 Ti 1.88-2.06, 1 Al 1.95
O 0.7631 0.5343 0.8018  3 Al 1.83-1.90
O 0.7643 0.5274 0.2959  1 Al 1.87, 2 Ti 1.89-2.03
O 0.7662 0.7552 0.7419  3 Al 1.91-1.98, 1 Ti 2.07
O 0.7955 0.3135 0.1695  1 Al 1.86, 1 Ti 1.94
O 0.8213 0.0908 0.5854  2 Ti 1.86-1.93
O 0.8241 0.0877 0.0851  2 Ti 1.86-1.93
O 0.8381 0.8503 0.4424  3 Al 1.81-1.86
O 0.8485 0.8561 0.9421  2 Ti 1.91-2.04, 1 Al 2.04
O 0.8571 0.6342 0.5064  2 Al 1.80-1.95
O 0.8772 0.6302 0.9939  2 Al 1.81-1.98
O 0.8884 0.4071 0.5589  1 Ti 1.87, 2 Al 2.01
O 0.8932 0.4166 0.0549  2 Al 1.86-1.87, 1 Ti 1.88
O 0.9092 0.1787 0.4146  2 Ti 1.86-1.93
O 0.9123 0.1759 0.9149  2 Ti 1.86-1.93
O 0.9387 0.9529 0.3299  1 Al 1.87, 1 Ti 1.95
O 0.9693 0.5078 0.7553  4 Al 1.90-2.01
O 0.9701 0.7319 0.6973  3 Al 1.83-1.89
O 0.9708 0.7379 0.2041  2 Ti 1.86-2.03, 1 Al 1.87

3.
Below is SrYAl3O7 after structural relaxation, with properties calculated at the PBE-GGA level.

a = 7.8565 Å, b = 7.8565 Å, c = 5.1778 Å
α = 90.00°, β = 90.00°, γ = 91.25°
Last column: nearest neighbours and their distance in Å.
Positions (direct):
Sr 0.1623 0.8377 0.0000  6 O 2.55-2.73
Sr 0.8377 0.1623 0.0000  6 O 2.55-2.73
Y 0.3399 0.3399 0.9715  6 O 2.28-2.44
Y 0.6601 0.6601 0.9715  6 O 2.28-2.44
Al 0.0000 0.5000 0.4981  4 O 1.76-1.79
Al 0.1492 0.1492 0.5299  4 O 1.74-1.80
Al 0.3614 0.6386 0.4485  4 O 1.76-1.78
Al 0.5000 0.0000 0.4981  4 O 1.76-1.79
Al 0.6386 0.3614 0.4485  4 O 1.76-1.78
Al 0.8508 0.8508 0.5299  4 O 1.74-1.80
O 0.0000 0.0000 0.6465  2 Al 1.75
O 0.0979 0.3425 0.6948  2 Al 1.79-1.80
O 0.1614 0.1614 0.1940  1 Al 1.74
O 0.1654 0.5824 0.3024  2 Al 1.76
O 0.3425 0.0979 0.6948  2 Al 1.79-1.80
O 0.3754 0.6246 0.7867  1 Al 1.76
O 0.4176 0.8346 0.3024  2 Al 1.76
O 0.5000 0.5000 0.2816  2 Al 1.78
O 0.5824 0.1654 0.3024  2 Al 1.76
O 0.6246 0.3754 0.7867  1 Al 1.76
O 0.6575 0.9022 0.6948  2 Al 1.79-1.80
O 0.8346 0.4176 0.3024  2 Al 1.76
O 0.8386 0.8386 0.1940  1 Al 1.74
O 0.9022 0.6575 0.6948  2 Al 1.79-1.80

| no. | energy (eV per cell) |
| --- | --- |
| 1 | -79.4 |
| 2 | -975.0 |
| 3 | -183.9 |